The following is a DFT calculation (r2SCAN) of a relaxed TbTiSi crystal.

Computed properties:
- ΔE_f: -2.18 eV/f.u.
- Calculated density: 6.250 g/cm3
- E_tot: -18.37 eV per atom

The structure in POSCAR format:
```
TbTiSi
1.0
4.0211 0.0000 0.0000
0.0000 4.0211 0.0000
0.0000 0.0000 7.7182
Tb Ti Si
2 2 2
Direct
0.2500 0.2500 0.1506
0.7500 0.7500 0.8494
0.2500 0.7500 0.5000
0.7500 0.2500 0.5000
0.2500 0.2500 0.7335
0.7500 0.7500 0.2665
```

The following is a DFT calculation (r2SCAN) of a relaxed Si7Tc4 crystal.

Computed properties:
- ΔE_f: -6.09 eV/f.u.
- Calculated density: 6.575 g/cm3
- E_tot: -15.58 eV per atom

The structure in POSCAR format:
```
Si7Tc4
1.0
5.7421 0.0000 0.0000
0.0000 5.7421 0.0000
0.0000 0.0000 18.0350
Si Tc
28 16
Direct
0.1515 0.1900 0.1156
0.1515 0.8100 0.6156
0.1537 0.3299 0.8161
0.1537 0.6701 0.3161
0.1900 0.1515 0.3844
0.1900 0.8485 0.8844
0.2251 0.3481 0.5409
0.2251 0.6519 0.0409
0.3299 0.1537 0.6839
0.3299 0.8463 0.1839
0.3408 0.3408 0.2500
0.3408 0.6592 0.7500
0.3481 0.2251 0.9591
0.3481 0.7749 0.4591
0.6519 0.2251 0.4591
0.6519 0.7749 0.9591
0.6592 0.3408 0.7500
0.6592 0.6592 0.2500
0.6701 0.1537 0.1839
0.6701 0.8463 0.6839
0.7749 0.3481 0.0409
0.7749 0.6519 0.5409
0.8100 0.1515 0.8844
0.8100 0.8485 0.3844
0.8463 0.3299 0.3161
0.8463 0.6701 0.8161
0.8485 0.1900 0.6156
0.8485 0.8100 0.1156
0.0000 0.0000 0.0000
0.0000 0.0000 0.2500
0.0000 0.0000 0.5000
0.0000 0.0000 0.7500
0.0000 0.5000 0.1924
0.0000 0.5000 0.4353
0.0000 0.5000 0.6924
0.0000 0.5000 0.9353
0.5000 0.0000 0.0647
0.5000 0.0000 0.3076
0.5000 0.0000 0.5647
0.5000 0.0000 0.8076
0.5000 0.5000 0.1306
0.5000 0.5000 0.3694
0.5000 0.5000 0.6306
0.5000 0.5000 0.8694
```

The following is a DFT calculation (r2SCAN) of a relaxed ThSi2Tc2 crystal.

Computed properties:
- ΔE_f: -3.49 eV/f.u.
- Calculated density: 9.046 g/cm3
- E_tot: -29.29 eV per atom

The structure in POSCAR format:
```
ThSi2Tc2
1.0
-2.1387 2.1387 4.8580
2.1387 -2.1387 4.8580
2.1387 2.1387 -4.8580
Th Si Tc
1 2 2
Direct
0.0000 0.0000 0.0000
0.3665 0.3665 0.0000
0.6335 0.6335 0.0000
0.2500 0.7500 0.5000
0.7500 0.2500 0.5000
```

The following is a DFT calculation (r2SCAN) of a relaxed Tl3SiTe3 crystal.

Computed properties:
- ΔE_f: -2.35 eV/f.u.
- Calculated density: 6.931 g/cm3
- E_tot: -35.27 eV per atom

The structure in POSCAR format:
```
Tl3SiTe3
1.0
9.5954 0.0000 0.0000
1.8377 9.6705 0.0000
1.1431 -0.0796 10.5757
Tl Si Te
12 4 12
Direct
0.0151 0.3741 0.3562
0.1445 0.2243 0.9139
0.1841 0.7130 0.2389
0.3089 0.8456 0.8400
0.3951 0.0400 0.3541
0.4024 0.4350 0.6575
0.5976 0.5650 0.3425
0.6049 0.9600 0.6459
0.6911 0.1544 0.1600
0.8159 0.2870 0.7611
0.8555 0.7757 0.0861
0.9849 0.6259 0.6438
0.0746 0.9829 0.5815
0.4129 0.4301 0.0129
0.5871 0.5699 0.9871
0.9254 0.0171 0.4185
0.0765 0.0660 0.2208
0.1797 0.1989 0.5942
0.1935 0.5572 0.9215
0.2739 0.7786 0.5269
0.3725 0.3808 0.2456
0.4989 0.7917 0.1084
0.5011 0.2083 0.8916
0.6275 0.6192 0.7544
0.7261 0.2214 0.4731
0.8065 0.4428 0.0785
0.8203 0.8011 0.4058
0.9235 0.9340 0.7792
```

The following is a DFT calculation (r2SCAN) of a relaxed Th3Si2 crystal.

Computed properties:
- Energy relative to the lowest polymorph listed for this composition: 0.0000 eV/atom
- ΔE_f: -3.44 eV/f.u.
- Calculated density: 9.713 g/cm3
- E_tot: -48.28 eV per atom

The structure in POSCAR format:
```
Th3Si2
1.0
7.8667 0.0000 0.0000
0.0000 7.8667 0.0000
0.0000 0.0000 4.1564
Th Si
6 4
Direct
0.0000 0.0000 0.0000
0.1811 0.3189 0.5000
0.3189 0.8189 0.5000
0.5000 0.5000 0.0000
0.6811 0.1811 0.5000
0.8189 0.6811 0.5000
0.1125 0.6125 0.0000
0.3875 0.1125 0.0000
0.6125 0.8875 0.0000
0.8875 0.3875 0.0000
```

The following is a DFT calculation (r2SCAN) of a relaxed ThSi crystal.

Computed properties:
- ΔE_f: -1.44 eV/f.u.
- Calculated density: 8.844 g/cm3
- E_tot: -41.84 eV per atom

The structure in POSCAR format:
```
ThSi
1.0
7.9650 0.0000 0.0000
0.0000 4.1429 0.0000
0.0000 0.0000 5.9206
Th Si
4 4
Direct
0.1799 0.2500 0.1238
0.3201 0.7500 0.6238
0.6799 0.2500 0.3762
0.8201 0.7500 0.8762
0.0386 0.2500 0.6287
0.4614 0.7500 0.1287
0.5386 0.2500 0.8713
0.9614 0.7500 0.3713
```

The following is a DFT calculation (r2SCAN) of a relaxed Ti5Si4 crystal.

Computed properties:
- ΔE_f: -7.27 eV/f.u.
- Calculated density: 4.294 g/cm3
- E_tot: -11.90 eV per atom

The structure in POSCAR format:
```
Ti5Si4
1.0
6.6890 0.0000 0.0000
0.0000 6.6890 0.0000
0.0000 0.0000 12.1576
Ti Si
20 16
Direct
0.0026 0.3454 0.2179
0.0041 0.8509 0.1221
0.1491 0.9959 0.3779
0.1546 0.5026 0.4679
0.1711 0.1711 0.0000
0.3289 0.6711 0.2500
0.3454 0.0026 0.7821
0.3509 0.4959 0.8721
0.4959 0.3509 0.1279
0.4974 0.8454 0.0321
0.5026 0.1546 0.5321
0.5041 0.6491 0.6279
0.6491 0.5041 0.3721
0.6546 0.9974 0.2821
0.6711 0.3289 0.7500
0.8289 0.8289 0.5000
0.8454 0.4974 0.9679
0.8509 0.0041 0.8779
0.9959 0.1491 0.6221
0.9974 0.6546 0.7179
0.0454 0.3009 0.8132
0.1424 0.7942 0.9228
0.1991 0.5454 0.0632
0.2058 0.8576 0.5772
0.2942 0.3576 0.6728
0.3009 0.0454 0.1868
0.3576 0.2942 0.3272
0.4546 0.8009 0.4368
0.5454 0.1991 0.9368
0.6424 0.7058 0.8272
0.6991 0.9546 0.6868
0.7058 0.6424 0.1728
0.7942 0.1424 0.0772
0.8009 0.4546 0.5632
0.8576 0.2058 0.4228
0.9546 0.6991 0.3132
```

The following is a DFT calculation (r2SCAN) of a relaxed Ti3Si crystal.

Computed properties:
- ΔE_f: -2.05 eV/f.u.
- Calculated density: 4.386 g/cm3
- E_tot: -12.41 eV per atom

The structure in POSCAR format:
```
Ti3Si
1.0
10.1294 0.0000 0.0000
0.0000 10.1294 0.0000
0.0000 0.0000 5.0678
Ti Si
24 8
Direct
0.0326 0.9323 0.2460
0.0677 0.5326 0.7460
0.1084 0.2784 0.0319
0.1425 0.8316 0.7188
0.1684 0.6425 0.2188
0.2216 0.1084 0.4681
0.2784 0.3916 0.4681
0.3316 0.8575 0.2188
0.3575 0.6684 0.7188
0.3916 0.2216 0.0319
0.4323 0.9674 0.7460
0.4674 0.5677 0.2460
0.5326 0.4323 0.7540
0.5677 0.0326 0.2540
0.6084 0.7784 0.9681
0.6425 0.3316 0.2812
0.6684 0.1425 0.7812
0.7216 0.6084 0.5319
0.7784 0.8916 0.5319
0.8316 0.3575 0.7812
0.8575 0.1684 0.2812
0.8916 0.7216 0.9681
0.9323 0.4674 0.2540
0.9674 0.0677 0.7540
0.0448 0.2921 0.5382
0.2079 0.0448 0.9618
0.2921 0.4552 0.9618
0.4552 0.2079 0.5382
0.5448 0.7921 0.4618
0.7079 0.5448 0.0382
0.7921 0.9552 0.0382
0.9552 0.7079 0.4618
```

The following is a DFT calculation (r2SCAN) of a relaxed Ti3Si crystal.

Computed properties:
- ΔE_f: -1.88 eV/f.u.
- Calculated density: 4.608 g/cm3
- E_tot: -12.37 eV per atom

The structure in POSCAR format:
```
Ti3Si
1.0
5.6313 0.0000 0.0000
-2.8157 4.8769 0.0000
0.0000 0.0000 4.5055
Ti Si
6 2
Direct
0.1718 0.3436 0.2500
0.1718 0.8282 0.2500
0.3436 0.1718 0.7500
0.6564 0.8282 0.2500
0.8282 0.1718 0.7500
0.8282 0.6564 0.7500
0.3333 0.6667 0.7500
0.6667 0.3333 0.2500
```

The following is a DFT calculation (r2SCAN) of a relaxed TiSi crystal.

Computed properties:
- ΔE_f: -1.57 eV/f.u.
- Calculated density: 4.272 g/cm3
- E_tot: -11.64 eV per atom

The structure in POSCAR format:
```
TiSi
1.0
6.5122 0.0000 0.0000
0.0000 3.6317 0.0000
0.0000 0.0000 4.9935
Ti Si
4 4
Direct
0.1757 0.2500 0.1282
0.3243 0.7500 0.6282
0.6757 0.2500 0.3718
0.8243 0.7500 0.8718
0.0439 0.2500 0.6446
0.4561 0.7500 0.1446
0.5439 0.2500 0.8554
0.9561 0.7500 0.3554
```

The following is a DFT calculation (r2SCAN) of a relaxed Ti5Si3 crystal.

Computed properties:
- ΔE_f: -6.32 eV/f.u.
- Calculated density: 4.374 g/cm3
- E_tot: -12.17 eV per atom

The structure in POSCAR format:
```
Ti5Si3
1.0
7.4471 0.0000 0.0000
-3.7235 6.4494 0.0000
0.0000 0.0000 5.1150
Ti Si
10 6
Direct
0.0000 0.2503 0.2500
0.0000 0.7497 0.7500
0.2503 0.0000 0.2500
0.2503 0.2503 0.7500
0.3333 0.6667 0.0000
0.3333 0.6667 0.5000
0.6667 0.3333 0.0000
0.6667 0.3333 0.5000
0.7497 0.0000 0.7500
0.7497 0.7497 0.2500
0.0000 0.3922 0.7500
0.0000 0.6078 0.2500
0.3922 0.0000 0.7500
0.3922 0.3922 0.2500
0.6078 0.0000 0.2500
0.6078 0.6078 0.7500
```

The following is a DFT calculation (r2SCAN) of a relaxed Ti3V2Si3 crystal.

Computed properties:
- ΔE_f: -6.25 eV/f.u.
- Calculated density: 4.804 g/cm3
- E_tot: -12.45 eV per atom

The structure in POSCAR format:
```
Ti3V2Si3
1.0
7.3123 0.0000 0.0000
-3.6561 6.3326 0.0000
0.0000 0.0000 4.9232
Ti V Si
6 4 6
Direct
0.0000 0.2460 0.2500
0.0000 0.7540 0.7500
0.2460 0.0000 0.2500
0.2460 0.2460 0.7500
0.7540 0.0000 0.7500
0.7540 0.7540 0.2500
0.3333 0.6667 0.0000
0.3333 0.6667 0.5000
0.6667 0.3333 0.0000
0.6667 0.3333 0.5000
0.0000 0.3993 0.7500
0.0000 0.6007 0.2500
0.3993 0.0000 0.7500
0.3993 0.3993 0.2500
0.6007 0.0000 0.2500
0.6007 0.6007 0.7500
```

The following is a DFT calculation (r2SCAN) of a relaxed Ti2Si6W crystal.

Computed properties:
- ΔE_f: -4.08 eV/f.u.
- Calculated density: 6.032 g/cm3
- E_tot: -14.89 eV per atom

The structure in POSCAR format:
```
Ti2Si6W
1.0
2.3443 -4.0577 0.0000
2.3443 4.0577 0.0000
0.0000 0.0000 6.4840
Ti Si W
2 6 1
Direct
0.0000 0.5000 0.1674
0.5000 0.0000 0.8326
0.1840 0.3443 0.8335
0.3347 0.6653 0.5000
0.3443 0.1840 0.1665
0.6557 0.8160 0.1665
0.6653 0.3347 0.5000
0.8160 0.6557 0.8335
0.0000 0.0000 0.5000
```

The following is a DFT calculation (r2SCAN) of a relaxed YTiSi crystal.

Computed properties:
- ΔE_f: -2.21 eV/f.u.
- Calculated density: 4.412 g/cm3
- E_tot: -14.75 eV per atom

The structure in POSCAR format:
```
YTiSi
1.0
4.0180 0.0000 0.0000
0.0000 4.0180 0.0000
0.0000 0.0000 7.6872
Y Ti Si
2 2 2
Direct
0.2500 0.2500 0.1505
0.7500 0.7500 0.8495
0.2500 0.7500 0.5000
0.7500 0.2500 0.5000
0.2500 0.2500 0.7346
0.7500 0.7500 0.2654
```

The following is a DFT calculation (r2SCAN) of a relaxed Tm5Si3 crystal.

Computed properties:
- ΔE_f: -6.31 eV/f.u.
- Calculated density: 8.346 g/cm3
- E_tot: -26.03 eV per atom

The structure in POSCAR format:
```
Tm5Si3
1.0
8.2799 0.0000 0.0000
-4.1400 7.1706 0.0000
0.0000 0.0000 6.2260
Tm Si
10 6
Direct
0.0000 0.2422 0.2500
0.0000 0.7578 0.7500
0.2422 0.0000 0.2500
0.2422 0.2422 0.7500
0.3333 0.6667 0.0000
0.3333 0.6667 0.5000
0.6667 0.3333 0.0000
0.6667 0.3333 0.5000
0.7578 0.0000 0.7500
0.7578 0.7578 0.2500
0.0000 0.3945 0.7500
0.0000 0.6055 0.2500
0.3945 0.0000 0.7500
0.3945 0.3945 0.2500
0.6055 0.0000 0.2500
0.6055 0.6055 0.7500
```

The following is a DFT calculation (r2SCAN) of a relaxed TmSi crystal.

Computed properties:
- ΔE_f: -1.77 eV/f.u.
- Calculated density: 7.981 g/cm3
- E_tot: -22.83 eV per atom

The structure in POSCAR format:
```
TmSi
1.0
2.0990 -5.1785 0.0000
2.0990 5.1785 0.0000
0.0000 0.0000 3.7714
Tm Si
2 2
Direct
0.1406 0.8594 0.7500
0.8594 0.1406 0.2500
0.4225 0.5775 0.7500
0.5775 0.4225 0.2500
```

The following is a DFT calculation (r2SCAN) of a relaxed U3Si crystal.

Computed properties:
- Energy relative to the lowest polymorph listed for this composition: 0.0021 eV/atom
- ΔE_f: -1.07 eV/f.u.
- Calculated density: 16.172 g/cm3
- E_tot: -62.42 eV per atom

The structure in POSCAR format:
```
U3Si
1.0
0.0000 4.2279 4.2706
4.2207 0.0000 4.2706
4.2207 4.2279 0.0000
U Si
6 2
Direct
0.2217 0.7783 0.2217
0.2501 0.2501 0.7499
0.2786 0.7214 0.7214
0.7214 0.2786 0.2786
0.7499 0.7499 0.2501
0.7783 0.2217 0.7783
0.2500 0.2500 0.2500
0.7500 0.7500 0.7500
```

The following is a DFT calculation (r2SCAN) of a relaxed U3Si crystal.

Computed properties:
- Energy relative to the lowest polymorph listed for this composition: 0.0322 eV/atom
- ΔE_f: -0.95 eV/f.u.
- Calculated density: 16.166 g/cm3
- E_tot: -62.39 eV per atom

The structure in POSCAR format:
```
U3Si
1.0
4.2402 0.0000 0.0000
0.0000 4.2402 0.0000
0.0000 0.0000 4.2402
U Si
3 1
Direct
0.0000 0.0000 0.5000
0.0000 0.5000 0.0000
0.5000 0.0000 0.0000
0.5000 0.5000 0.5000
```

The following is a DFT calculation (r2SCAN) of a relaxed USi3 crystal.

Computed properties:
- ΔE_f: -1.19 eV/f.u.
- Calculated density: 8.330 g/cm3
- E_tot: -26.86 eV per atom

The structure in POSCAR format:
```
USi3
1.0
4.0051 0.0000 0.0000
0.0000 4.0051 0.0000
0.0000 0.0000 4.0051
U Si
1 3
Direct
0.0000 0.0000 0.0000
0.0000 0.5000 0.5000
0.5000 0.0000 0.5000
0.5000 0.5000 0.0000
```